Material: KSbN2
Method: DFT, GGA-PBE
State: optimized geometry

Lattice parameters (Å, degrees): 5.963 11.954 16.659 90.00 90.00 90.00
Space group Pbca (No. 61)
One atom of each set of equivalent atoms:
K (0.202, 0.235, 0.184) (multiplicity 8)
K (0.243, 0.009, 0.560) (multiplicity 8)
Sb (0.222, 0.239, 0.436) (multiplicity 8)
Sb (0.229, 0.009, 0.812) (multiplicity 8)
N (0.040, 0.681, 0.999) (multiplicity 8)
N (0.056, 0.524, 0.210) (multiplicity 8)
N (0.125, 0.165, 0.842) (multiplicity 8)
N (0.132, 0.596, 0.400) (multiplicity 8)

The formation energy is 0.039 eV per atom. Its total energy is -5.259 eV per atom.